(1)
Computed, not measured: crystalline LiMnF4 at its relaxed geometry at the GGA+U level of DFT.

Properties
calculated volume	585.6	Å³ per cell

Cell: 7.6454 10.0642 7.6103 Å, 90.00 90.00 90.00°
Atoms (fractional coordinates):
Li  0.0000  0.2059  0.0000
Li  0.0000  0.2304  0.5142
Li  0.0000  0.7114  0.7143
Li  0.0000  0.7285  0.2762
Li  0.5000  0.2715  0.7762
Li  0.5000  0.2886  0.2143
Li  0.5000  0.7696  0.0142
Li  0.5000  0.7941  0.5000
Mn  0.2467  0.4942  0.0272
Mn  0.2483  0.9938  0.7792
Mn  0.2517  0.0062  0.2792
Mn  0.2533  0.5058  0.5272
Mn  0.7467  0.5058  0.5272
Mn  0.7483  0.0062  0.2792
Mn  0.7517  0.9938  0.7792
Mn  0.7533  0.4942  0.0272
F  0.0000  0.4026  0.0489
F  0.0000  0.4268  0.4934
F  0.0000  0.9070  0.7430
F  0.0000  0.9247  0.3105
F  0.1619  0.1591  0.7319
F  0.1642  0.6570  0.0836
F  0.1675  0.6754  0.4864
F  0.1721  0.1738  0.3264
F  0.1860  0.0373  0.0280
F  0.1882  0.5377  0.7772
F  0.3118  0.4623  0.2772
F  0.3140  0.9627  0.5280
F  0.3279  0.8262  0.8264
F  0.3325  0.3246  0.9864
F  0.3358  0.3430  0.5836
F  0.3381  0.8409  0.2319
F  0.5000  0.0753  0.8105
F  0.5000  0.0930  0.2430
F  0.5000  0.5732  0.9934
F  0.5000  0.5974  0.5489
F  0.6619  0.8409  0.2319
F  0.6642  0.3430  0.5836
F  0.6675  0.3246  0.9864
F  0.6721  0.8262  0.8264
F  0.6860  0.9627  0.5280
F  0.6882  0.4623  0.2772
F  0.8118  0.5377  0.7772
F  0.8140  0.0373  0.0280
F  0.8279  0.1738  0.3264
F  0.8325  0.6754  0.4864
F  0.8358  0.6570  0.0836
F  0.8381  0.1591  0.7319

***

(2)
Computed, not measured: crystalline Fe4O3F5 at its relaxed geometry at the GGA+U level of DFT.

Properties
calculated volume	284.6	Å³ per cell
distance to the lowest polymorph of the same formula	61	kJ/mol of formula units

Cell: 7.8029 7.8029 6.5448 Å, 114.38 114.38 53.68°
Atoms (fractional coordinates):
Fe  0.0000  0.0000  0.0000
Fe  0.1225  0.1225  0.5955
Fe  0.2575  0.2575  0.2684
Fe  0.3728  0.3728  0.8784
Fe  0.5000  0.5000  0.5000
Fe  0.6272  0.6272  0.1216
Fe  0.7425  0.7425  0.7316
Fe  0.8775  0.8775  0.4045
O  0.1242  0.1242  0.2928
O  0.3743  0.3743  0.1758
O  0.3755  0.3755  0.5815
O  0.6245  0.6245  0.4185
O  0.6257  0.6257  0.8242
O  0.8758  0.8758  0.7072
F  0.0550  0.4515  0.7578
F  0.1235  0.1235  0.9139
F  0.2052  0.7948  0.5000
F  0.3075  0.6925  0.0000
F  0.4515  0.0550  0.7578
F  0.5485  0.9450  0.2422
F  0.6925  0.3075  0.0000
F  0.7948  0.2052  0.5000
F  0.8765  0.8765  0.0861
F  0.9450  0.5485  0.2422

***

(3)
Computed, not measured: crystalline LiCr2O4 at its relaxed geometry at the GGA+U level of DFT.

Properties
calculated volume	294.6	Å³ per cell
distance to the lowest polymorph of the same formula	2	kJ/mol of formula units

Cell: 5.9572 5.9572 8.3019 Å, 90.00 90.00 90.00°
Atoms (fractional coordinates):
Li  0.2472  0.2472  0.1250
Li  0.2472  0.7528  0.3750
Li  0.7528  0.2472  0.8750
Li  0.7528  0.7528  0.6250
Cr  0.0000  0.2553  0.5000
Cr  0.0000  0.7447  0.0000
Cr  0.2504  0.5000  0.7500
Cr  0.2553  0.0000  0.7500
Cr  0.5000  0.2504  0.5000
Cr  0.5000  0.7496  0.0000
Cr  0.7447  0.0000  0.2500
Cr  0.7496  0.5000  0.2500
O  0.0344  0.2559  0.7426
O  0.0344  0.7441  0.7574
O  0.2559  0.0344  0.5074
O  0.2559  0.9656  0.9926
O  0.2572  0.4805  0.5173
O  0.2572  0.5195  0.9827
O  0.4805  0.2572  0.7327
O  0.4805  0.7428  0.7673
O  0.5195  0.2572  0.2673
O  0.5195  0.7428  0.2327
O  0.7428  0.4805  0.4827
O  0.7428  0.5195  0.0173
O  0.7441  0.0344  0.4926
O  0.7441  0.9656  0.0074
O  0.9656  0.2559  0.2574
O  0.9656  0.7441  0.2426

***

(4)
Computed, not measured: crystalline La2MgNiO6 at its relaxed geometry at the GGA+U level of DFT.

Properties
calculated volume	116.1	Å³ per cell

Cell: 5.4270 5.4270 5.4270 Å, 61.21 61.21 61.21°
Atoms (fractional coordinates):
La  0.2485  0.2485  0.2485
La  0.7515  0.7515  0.7515
Mg  0.5000  0.5000  0.5000
Ni  0.0000  0.0000  0.0000
O  0.1789  0.7644  0.3011
O  0.2356  0.6989  0.8211
O  0.3011  0.1789  0.7644
O  0.6989  0.8211  0.2356
O  0.7644  0.3011  0.1789
O  0.8211  0.2356  0.6989

***

(5)
Computed, not measured: crystalline Ca4TiMn3O12 at its relaxed geometry at the GGA+U level of DFT.

Properties
calculated volume	223.7	Å³ per cell
distance to the lowest polymorph of the same formula	134	kJ/mol of formula units

Cell: 7.6391 7.6391 3.8328 Å, 90.00 90.00 90.00°
Atoms (fractional coordinates):
Ca  0.2478  0.2478  0.0000
Ca  0.2478  0.7522  0.0000
Ca  0.7522  0.2478  0.0000
Ca  0.7522  0.7522  0.0000
Ti  0.5000  0.5000  0.5000
Mn  0.0000  0.0000  0.5000
Mn  0.0000  0.5000  0.5000
Mn  0.5000  0.0000  0.5000
O  0.0000  0.0000  0.0000
O  0.0000  0.2501  0.5000
O  0.0000  0.5000  0.0000
O  0.0000  0.7499  0.5000
O  0.2462  0.5000  0.5000
O  0.2501  0.0000  0.5000
O  0.5000  0.0000  0.0000
O  0.5000  0.2462  0.5000
O  0.5000  0.5000  0.0000
O  0.5000  0.7538  0.5000
O  0.7499  0.0000  0.5000
O  0.7538  0.5000  0.5000

***

(6)
Computed, not measured: crystalline Li2CoH8S2O12 at its relaxed geometry at the GGA+U level of DFT.

Properties
calculated volume	465.3	Å³ per cell

Cell: 5.4488 8.1533 10.6274 Å, 90.00 99.77 90.00°
Atoms (fractional coordinates):
Li  0.1044  0.0637  0.3655
Li  0.1044  0.4363  0.8655
Li  0.8956  0.5637  0.1345
Li  0.8956  0.9363  0.6345
Co  0.0000  0.0000  0.0000
Co  0.0000  0.5000  0.5000
H  0.2225  0.6403  0.3366
H  0.2225  0.8597  0.8366
H  0.2235  0.0558  0.8129
H  0.2235  0.4442  0.3130
H  0.2351  0.7154  0.0156
H  0.2351  0.7846  0.5156
H  0.3279  0.6984  0.6442
H  0.3279  0.8016  0.1442
H  0.6721  0.1984  0.8558
H  0.6721  0.3016  0.3558
H  0.7649  0.2154  0.4844
H  0.7649  0.2846  0.9844
H  0.7765  0.5558  0.6871
H  0.7765  0.9442  0.1870
H  0.7775  0.1403  0.1634
H  0.7775  0.3597  0.6634
S  0.3713  0.2101  0.6330
S  0.3713  0.2899  0.1330
S  0.6287  0.7101  0.8670
S  0.6287  0.7899  0.3670
O  0.1149  0.5413  0.3249
O  0.1149  0.9587  0.8249
O  0.1733  0.7210  0.5831
O  0.1733  0.7790  0.0831
O  0.1963  0.0848  0.5690
O  0.1963  0.4152  0.0690
O  0.3280  0.1279  0.0687
O  0.3280  0.3721  0.5687
O  0.3429  0.2266  0.7709
O  0.3429  0.2734  0.2709
O  0.3633  0.6614  0.8700
O  0.3633  0.8386  0.3700
O  0.6367  0.1614  0.6300
O  0.6367  0.3386  0.1300
O  0.6571  0.7266  0.7291
O  0.6571  0.7734  0.2291
O  0.6720  0.6279  0.4313
O  0.6720  0.8721  0.9313
O  0.8037  0.5848  0.9310
O  0.8037  0.9152  0.4310
O  0.8267  0.2210  0.9169
O  0.8267  0.2790  0.4169
O  0.8851  0.0413  0.1751
O  0.8851  0.4587  0.6751

***

Number 1: E_tot -5.40 eV per atom. Number 2: E_tot -5.88 eV per atom. Number 3: E_tot -7.15 eV per atom. Number 4: E_tot -6.84 eV per atom. Number 5: E_tot -7.17 eV per atom. Number 6: E_tot -5.45 eV per atom.